Record 1
A geometry-optimized LiNd4Ge4 structure, computed with PBE.

The calculation puts the formation enthalpy at 0 K at -0.806 eV per atom. The total moment is 0.00 μB per cell.

a = 7.4251 Å, b = 7.9958 Å, c = 15.2311 Å
α = 90.00°, β = 90.00°, γ = 90.00°
Positions (direct):
Li: 0.6593 0.9706 0.7500
Li: 0.1593 0.5294 0.7500
Li: 0.3407 0.0294 0.2500
Li: 0.8407 0.4706 0.2500
Nd: 0.5220 0.3113 0.1005
Nd: 0.0220 0.1887 0.3995
Nd: 0.4780 0.6887 0.6005
Nd: 0.9780 0.8113 0.8995
Nd: 0.4780 0.6887 0.8995
Nd: 0.9780 0.8113 0.6005
Nd: 0.5220 0.3113 0.3995
Nd: 0.0220 0.1887 0.1005
Nd: 0.8260 0.3215 0.6283
Nd: 0.3260 0.1785 0.8717
Nd: 0.1740 0.6785 0.1283
Nd: 0.6740 0.8215 0.3717
Nd: 0.1740 0.6785 0.3717
Nd: 0.6740 0.8215 0.1283
Nd: 0.8260 0.3215 0.8717
Nd: 0.3260 0.1785 0.6283
Ge: 0.6593 0.0328 0.5361
Ge: 0.1593 0.4672 0.9639
Ge: 0.3407 0.9672 0.0361
Ge: 0.8407 0.5328 0.4639
Ge: 0.3407 0.9672 0.4639
Ge: 0.8407 0.5328 0.0361
Ge: 0.6593 0.0328 0.9639
Ge: 0.1593 0.4672 0.5361
Ge: 0.5160 0.4195 0.7500
Ge: 0.0160 0.0805 0.7500
Ge: 0.4840 0.5805 0.2500
Ge: 0.9840 0.9195 0.2500
Ge: 0.7750 0.6326 0.7500
Ge: 0.2750 0.8674 0.7500
Ge: 0.2250 0.3674 0.2500
Ge: 0.7250 0.1326 0.2500

Record 2
A geometry-optimized Pd3Se2S structure, computed with PBE.

The calculation puts the formation enthalpy at 0 K at -0.420 eV per atom.

a = 7.0457 Å, b = 11.5767 Å, c = 11.5767 Å
α = 90.00°, β = 90.00°, γ = 90.00°
Positions (direct):
Pd: 0.0000 0.2225 0.3602
Pd: 0.0000 0.7775 0.6398
Pd: 0.5000 0.6398 0.2225
Pd: 0.0000 0.2775 0.8602
Pd: 0.5000 0.3602 0.7775
Pd: 0.0000 0.7225 0.1398
Pd: 0.5000 0.8602 0.7225
Pd: 0.5000 0.1398 0.2775
Pd: 0.2500 0.1080 0.6080
Pd: 0.7500 0.8920 0.3920
Pd: 0.2500 0.8920 0.3920
Pd: 0.7500 0.3920 0.1080
Pd: 0.7500 0.1080 0.6080
Pd: 0.2500 0.6080 0.8920
Pd: 0.7500 0.6080 0.8920
Pd: 0.2500 0.3920 0.1080
Pd: 0.0000 0.0459 0.1304
Pd: 0.0000 0.9541 0.8696
Pd: 0.5000 0.8696 0.0459
Pd: 0.0000 0.4541 0.6304
Pd: 0.5000 0.1304 0.9541
Pd: 0.0000 0.5459 0.3696
Pd: 0.5000 0.6304 0.5459
Pd: 0.5000 0.3696 0.4541
Se: 0.2786 0.1787 0.1132
Se: 0.7214 0.8213 0.8868
Se: 0.2786 0.8213 0.8868
Se: 0.7786 0.8868 0.1787
Se: 0.7214 0.3213 0.6132
Se: 0.7214 0.1787 0.1132
Se: 0.2214 0.1132 0.8213
Se: 0.2786 0.6787 0.3868
Se: 0.7786 0.1132 0.8213
Se: 0.7214 0.6787 0.3868
Se: 0.2214 0.8868 0.1787
Se: 0.2786 0.3213 0.6132
Se: 0.2214 0.6132 0.6787
Se: 0.7786 0.3868 0.3213
Se: 0.2214 0.3868 0.3213
Se: 0.7786 0.6132 0.6787
S: 0.2500 0.5955 0.0955
S: 0.7500 0.4045 0.9045
S: 0.2500 0.4045 0.9045
S: 0.7500 0.9045 0.5955
S: 0.7500 0.5955 0.0955
S: 0.2500 0.0955 0.4045
S: 0.7500 0.0955 0.4045
S: 0.2500 0.9045 0.5955

Record 3
A geometry-optimized Sr2HoRuO6 structure, computed with PBE.

The calculation puts the formation enthalpy at 0 K at -2.869 eV per atom. The total moment is 6.00 μB per cell.

a = 5.8629 Å, b = 5.8052 Å, c = 10.0431 Å
α = 55.06°, β = 90.00°, γ = 90.00°
Positions (direct):
Sr: 0.0357 0.2411 0.7506
Sr: 0.5357 0.7589 0.7494
Sr: 0.4643 0.2411 0.2506
Sr: 0.9643 0.7589 0.2494
Ho: 0.5000 0.5000 0.5000
Ho: 0.0000 0.5000 0.0000
Ru: 0.0000 0.0000 0.5000
Ru: 0.5000 0.0000 0.0000
O: 0.0189 0.3086 0.2652
O: 0.5189 0.6914 0.2348
O: 0.9811 0.6914 0.7348
O: 0.4811 0.3086 0.7652
O: 0.7282 0.8422 0.4598
O: 0.2282 0.1578 0.0402
O: 0.2718 0.1578 0.5402
O: 0.7718 0.8422 0.9598
O: 0.2992 0.7678 0.9618
O: 0.7992 0.2322 0.5382
O: 0.7008 0.2322 0.0382
O: 0.2008 0.7678 0.4618

Record 4
A geometry-optimized La2Fe2S5 structure, computed with PBE.

The calculation puts the formation enthalpy at 0 K at -1.591 eV per atom. The total moment is 16.00 μB per cell.

a = 8.5155 Å, b = 8.5155 Å, c = 11.3080 Å
α = 90.00°, β = 90.00°, γ = 153.07°
Positions (direct):
La: 0.3769 0.6231 0.0696
La: 0.6231 0.3769 0.5696
La: 0.3789 0.6211 0.4512
La: 0.6211 0.3789 0.9512
Fe: 0.0854 0.9146 0.2859
Fe: 0.9146 0.0854 0.7859
Fe: 0.6955 0.3045 0.2483
Fe: 0.3045 0.6955 0.7483
S: 0.5417 0.4583 0.2009
S: 0.4583 0.5417 0.7009
S: 0.0097 0.9903 0.4659
S: 0.9903 0.0097 0.9659
S: 0.8454 0.1546 0.2570
S: 0.1546 0.8454 0.7570
S: 0.1989 0.8011 0.1051
S: 0.8011 0.1989 0.6051
S: 0.8002 0.1998 0.9061
S: 0.1998 0.8002 0.4061

Record 5
A geometry-optimized SbO2 structure, computed with PBE.

The calculation puts the formation enthalpy at 0 K at -1.451 eV per atom. The total moment is 0.00 μB per cell.

a = 5.0291 Å, b = 5.0291 Å, c = 5.0291 Å
α = 39.71°, β = 39.71°, γ = 39.71°
Positions (direct):
Sb: 0.5000 0.5000 0.5000
O: 0.7648 0.7648 0.7648
O: 0.2352 0.2352 0.2352

Record 6
A geometry-optimized Dy2MgS4 structure, computed with PBE.

The calculation puts the formation enthalpy at 0 K at -2.169 eV per atom.

a = 7.9126 Å, b = 7.9126 Å, c = 7.9126 Å
α = 60.00°, β = 60.00°, γ = 60.00°
Positions (direct):
Dy: 0.1250 0.6250 0.1250
Dy: 0.1250 0.1250 0.6250
Dy: 0.6250 0.1250 0.1250
Dy: 0.1250 0.1250 0.1250
Mg: 0.5000 0.5000 0.5000
Mg: 0.7500 0.7500 0.7500
S: 0.8797 0.8797 0.8797
S: 0.3609 0.8797 0.8797
S: 0.8797 0.3609 0.8797
S: 0.8797 0.8797 0.3609
S: 0.3703 0.3703 0.8891
S: 0.3703 0.8891 0.3703
S: 0.8891 0.3703 0.3703
S: 0.3703 0.3703 0.3703

Record 7
A geometry-optimized TbGa2Co3 structure, computed with PBE.

The calculation puts the formation enthalpy at 0 K at -0.343 eV per atom. The total moment is 8.52 μB per cell.

a = 4.0361 Å, b = 8.7897 Å, c = 8.7935 Å
α = 120.12°, β = 90.00°, γ = 90.00°
Positions (direct):
Tb: 0.0000 0.3333 0.6667
Tb: 0.0000 0.6669 0.3335
Tb: 0.0000 0.9998 0.9998
Ga: 0.5000 0.4921 0.9845
Ga: 0.5000 0.4923 0.5077
Ga: 0.5000 0.0154 0.5078
Ga: 0.5000 0.8413 0.6822
Ga: 0.5000 0.3179 0.1589
Ga: 0.5000 0.8412 0.1591
Co: 0.0000 0.3226 0.9894
Co: 0.0000 0.6666 0.6764
Co: 0.0000 0.0100 0.3334
Co: 0.0000 0.6667 0.9900
Co: 0.0000 0.3230 0.3333
Co: 0.0000 0.0104 0.6771
Co: 0.5000 0.1667 0.3334
Co: 0.5000 0.1668 0.8333
Co: 0.5000 0.6668 0.8334

Record 8
A geometry-optimized KCaAl2F9 structure, computed with PBE.

The calculation puts the formation enthalpy at 0 K at -3.860 eV per atom. The total moment is 0.00 μB per cell.

a = 7.2472 Å, b = 7.2472 Å, c = 23.0092 Å
α = 90.00°, β = 90.00°, γ = 119.81°
Positions (direct):
K: 0.0105 0.9895 0.2500
K: 0.9642 0.0070 0.0835
K: 0.9895 0.0105 0.7500
K: 0.0070 0.9642 0.9165
K: 0.9930 0.0358 0.4165
K: 0.0358 0.9930 0.5835
Ca: 0.5008 0.9883 0.8335
Ca: 0.5153 0.5153 0.5000
Ca: 0.9883 0.5008 0.1665
Ca: 0.4847 0.4847 0.0000
Ca: 0.0117 0.4992 0.6665
Ca: 0.4992 0.0117 0.3335
Al: 0.0017 0.4845 0.8363
Al: 0.5206 0.0176 0.5032
Al: 0.9824 0.4794 0.9968
Al: 0.4845 0.0017 0.1637
Al: 0.4969 0.5126 0.3301
Al: 0.9983 0.5155 0.3363
Al: 0.4794 0.9824 0.0032
Al: 0.0176 0.5206 0.4968
Al: 0.4874 0.5031 0.1699
Al: 0.5126 0.4969 0.6699
Al: 0.5031 0.4874 0.8301
Al: 0.5155 0.9983 0.6637
F: 0.4598 0.5208 0.0932
F: 0.2265 0.3349 0.6654
F: 0.7976 0.6601 0.6779
F: 0.5208 0.4598 0.9068
F: 0.2477 0.7130 0.0114
F: 0.4150 0.9663 0.9268
F: 0.4859 0.5141 0.7500
F: 0.8863 0.6721 0.4826
F: 0.4792 0.5402 0.4068
F: 0.2024 0.3399 0.1779
F: 0.7956 0.1307 0.6470
F: 0.5402 0.4792 0.5932
F: 0.7523 0.2870 0.5114
F: 0.6411 0.8595 0.9928
F: 0.2701 0.5205 0.8442
F: 0.0055 0.4607 0.4165
F: 0.7299 0.4795 0.3442
F: 0.5850 0.0337 0.4268
F: 0.2328 0.8735 0.6762
F: 0.5141 0.4859 0.2500
F: 0.5205 0.2701 0.1558
F: 0.6721 0.8863 0.5174
F: 0.1265 0.7672 0.8238
F: 0.9884 0.5735 0.2603
F: 0.7379 0.4547 0.8217
F: 0.8693 0.2044 0.8530
F: 0.4795 0.7299 0.6558
F: 0.6601 0.7976 0.3221
F: 0.7735 0.6651 0.1654
F: 0.8735 0.2328 0.3238
F: 0.5453 0.2621 0.6783
F: 0.2870 0.7523 0.4886
F: 0.7130 0.2477 0.9886
F: 0.1307 0.7956 0.3530
F: 0.9663 0.4150 0.0732
F: 0.9945 0.5393 0.9165
F: 0.3279 0.1137 0.0174
F: 0.4607 0.0055 0.5835
F: 0.0337 0.5850 0.5732
F: 0.0116 0.4265 0.7603
F: 0.7672 0.1265 0.1762
F: 0.6651 0.7735 0.8346
F: 0.3589 0.1405 0.4928
F: 0.3349 0.2265 0.3346
F: 0.8595 0.6411 0.0072
F: 0.4547 0.7379 0.1783
F: 0.3399 0.2024 0.8221
F: 0.1137 0.3279 0.9826
F: 0.1405 0.3589 0.5072
F: 0.2044 0.8693 0.1470
F: 0.4265 0.0116 0.2397
F: 0.5735 0.9884 0.7397
F: 0.5393 0.9945 0.0835
F: 0.2621 0.5453 0.3217

Record 9
A geometry-optimized CeInAu structure, computed with PBE.

The calculation puts the formation enthalpy at 0 K at -0.614 eV per atom.

a = 7.7397 Å, b = 7.7397 Å, c = 4.3098 Å
α = 90.00°, β = 90.00°, γ = 120.00°
Positions (direct):
Ce: 0.0000 0.5874 0.0000
Ce: 0.4126 0.4126 0.0000
Ce: 0.5874 0.0000 0.0000
In: 0.7506 0.7506 0.5000
In: 0.0000 0.2494 0.5000
In: 0.2494 0.0000 0.5000
Au: 0.6667 0.3333 0.5000
Au: 0.3333 0.6667 0.5000
Au: 0.0000 0.0000 0.0000

Record 10
A geometry-optimized P2PbO9 structure, computed with PBE.

The calculation puts the formation enthalpy at 0 K at -1.599 eV per atom. The total moment is 16.01 μB per cell.

a = 5.1080 Å, b = 9.0084 Å, c = 16.4088 Å
α = 67.89°, β = 90.00°, γ = 90.00°
Positions (direct):
P: 0.2600 0.0011 0.1166
P: 0.2400 0.0011 0.6166
P: 0.7400 0.9989 0.8834
P: 0.7600 0.9989 0.3834
P: 0.7343 0.5195 0.1114
P: 0.7657 0.5195 0.6114
P: 0.2657 0.4805 0.8886
P: 0.2343 0.4805 0.3886
Pb: 0.7672 0.2477 0.0101
Pb: 0.7328 0.2477 0.5101
Pb: 0.2328 0.7523 0.9899
Pb: 0.2672 0.7523 0.4899
O: 0.3674 0.8906 0.0712
O: 0.1326 0.8906 0.5712
O: 0.6326 0.1094 0.9288
O: 0.8674 0.1094 0.4288
O: 0.9615 0.0366 0.1002
O: 0.5385 0.0366 0.6002
O: 0.0385 0.9634 0.8998
O: 0.4615 0.9634 0.3998
O: 0.4099 0.1622 0.0877
O: 0.0901 0.1622 0.5877
O: 0.5901 0.8378 0.9123
O: 0.9099 0.8378 0.4123
O: 0.3040 0.8968 0.2150
O: 0.1960 0.8968 0.7150
O: 0.6960 0.1032 0.7850
O: 0.8040 0.1032 0.2850
O: 0.8915 0.6786 0.0771
O: 0.6085 0.6786 0.5771
O: 0.1085 0.3214 0.9229
O: 0.3915 0.3214 0.4229
O: 0.4442 0.5457 0.0802
O: 0.0558 0.5457 0.5802
O: 0.5558 0.4543 0.9198
O: 0.9442 0.4543 0.4198
O: 0.8711 0.3890 0.0867
O: 0.6289 0.3890 0.5867
O: 0.1289 0.6110 0.9133
O: 0.3711 0.6110 0.4133
O: 0.7344 0.4515 0.2158
O: 0.7656 0.4515 0.7158
O: 0.2656 0.5485 0.7842
O: 0.2344 0.5485 0.2842
O: 0.3374 0.3620 0.2409
O: 0.1626 0.3620 0.7409
O: 0.6626 0.6380 0.7591
O: 0.8374 0.6380 0.2591

Which of these has the highest formation enthalpy at 0 K?
TbGa2Co3